[1]
Compound: Sr2Ca2MnFe3O12
Source: the Materials Project
Functional: PBE+U
Structure: relaxed

Results
- M_tot (μB/atom) = 0.8040
- volume (Å³ per cell) = 465
- energy with MP2020 corrections (eV/atom) = -7.3260
- DFT formation energy (meV/atom) = -2259

```
Sr2Ca2MnFe3O12
1.0
7.750 0.000 0.000
0.000 7.735 0.000
0.000 0.000 7.750
Sr Ca Mn Fe O
4 4 2 6 24
Direct
0.000 0.000 0.000
0.000 0.500 0.000
0.500 0.000 0.000
0.500 0.500 0.500
0.000 0.000 0.500
0.000 0.500 0.500
0.500 0.000 0.500
0.500 0.500 0.000
0.750 0.250 0.750
0.750 0.750 0.750
0.250 0.250 0.251
0.250 0.250 0.750
0.250 0.750 0.251
0.250 0.750 0.750
0.750 0.250 0.251
0.750 0.750 0.251
0.001 0.250 0.253
0.001 0.750 0.253
0.249 0.249 0.499
0.249 0.751 0.499
0.250 0.000 0.253
0.250 0.000 0.748
0.250 0.500 0.250
0.250 0.500 0.750
0.251 0.251 0.001
0.251 0.749 0.001
0.499 0.250 0.250
0.499 0.750 0.250
0.503 0.250 0.750
0.503 0.750 0.750
0.749 0.251 0.998
0.749 0.749 0.998
0.750 0.000 0.253
0.750 0.000 0.748
0.750 0.500 0.250
0.750 0.500 0.750
0.751 0.249 0.503
0.751 0.751 0.503
0.998 0.250 0.748
0.998 0.750 0.748
```

---

[2]
Compound: CeMo12N2O54
Source: the Materials Project
Functional: PBE+U
Structure: relaxed

Results
- M_tot (μB/atom) = 0.3767
- volume (Å³ per cell) = 1057
- energy with MP2020 corrections (eV/atom) = -6.9773
- DFT formation energy (meV/atom) = -891

```
CeMo12N2O54
1.0
6.531 3.771 7.156
-6.531 3.771 7.156
0.000 -7.541 7.156
Ce Mo N O
1 12 2 54
Direct
0.000 0.000 0.000
0.062 0.719 0.833
0.064 0.655 0.155
0.155 0.064 0.655
0.167 0.938 0.281
0.281 0.167 0.938
0.345 0.845 0.936
0.655 0.155 0.064
0.719 0.833 0.062
0.833 0.062 0.719
0.845 0.936 0.345
0.936 0.345 0.845
0.938 0.281 0.167
0.310 0.310 0.310
0.690 0.690 0.690
0.007 0.916 0.426
0.025 0.830 0.215
0.026 0.913 0.788
0.048 0.559 0.552
0.063 0.422 0.736
0.066 0.325 0.223
0.084 0.574 0.993
0.087 0.212 0.974
0.170 0.785 0.975
0.205 0.670 0.722
0.208 0.580 0.215
0.212 0.974 0.087
0.215 0.025 0.830
0.215 0.208 0.580
0.223 0.066 0.325
0.247 0.491 0.554
0.264 0.937 0.578
0.278 0.795 0.330
0.325 0.223 0.066
0.330 0.278 0.795
0.420 0.785 0.792
0.422 0.736 0.063
0.426 0.007 0.916
0.441 0.448 0.952
0.446 0.753 0.509
0.448 0.952 0.441
0.491 0.554 0.247
0.509 0.446 0.753
0.552 0.048 0.559
0.554 0.247 0.491
0.559 0.552 0.048
0.574 0.993 0.084
0.578 0.264 0.937
0.580 0.215 0.208
0.670 0.722 0.205
0.675 0.777 0.934
0.722 0.205 0.670
0.736 0.063 0.422
0.753 0.509 0.446
0.777 0.934 0.675
0.785 0.792 0.420
0.785 0.975 0.170
0.788 0.026 0.913
0.792 0.420 0.785
0.795 0.330 0.278
0.830 0.215 0.025
0.913 0.788 0.026
0.916 0.426 0.007
0.934 0.675 0.777
0.937 0.578 0.264
0.952 0.441 0.448
0.974 0.087 0.212
0.975 0.170 0.785
0.993 0.084 0.574
```

---

[3]
Compound: Sr4MgTiFe2As2O6
Source: the Materials Project
Functional: PBE+U
Structure: relaxed

Results
- M_tot (μB/atom) = 0.0068
- volume (Å³ per cell) = 271
- energy with MP2020 corrections (eV/atom) = -6.3561
- DFT formation energy (meV/atom) = -1844

```
Sr4MgTiFe2As2O6
1.0
4.015 0.000 0.000
0.000 4.015 0.000
0.000 0.000 16.837
Sr Mg Ti Fe As O
4 1 1 2 2 6
Direct
0.000 0.000 0.000
0.000 0.000 0.192
0.500 0.500 0.595
0.500 0.500 0.827
0.500 0.500 0.084
0.000 0.000 0.712
0.000 0.500 0.405
0.500 0.000 0.405
0.000 0.000 0.506
0.500 0.500 0.309
0.000 0.000 0.819
0.000 0.500 0.104
0.000 0.500 0.694
0.500 0.000 0.104
0.500 0.000 0.694
0.500 0.500 0.960
```